The following is a GGA-PBE calculation of S5N6 after structural relaxation, from Materials Project.

Calculated values
DFT total energy, eV/f.u.: -63.58
ΔE_f, kJ/mol of formula units: 478

abc: 7.684 7.684 7.918
angles: 99.54 99.54 102.72
Sites, in units of the cell vectors:
S: 0.093 0.907 0.750
S: 0.247 0.676 0.985
S: 0.284 0.448 0.677
S: 0.324 0.753 0.515
S: 0.448 0.284 0.177
S: 0.552 0.716 0.823
S: 0.676 0.247 0.485
S: 0.716 0.552 0.323
S: 0.753 0.324 0.015
S: 0.907 0.093 0.250
N: 0.132 0.830 0.918
N: 0.170 0.868 0.582
N: 0.182 0.486 0.837
N: 0.243 0.536 0.508
N: 0.464 0.757 0.992
N: 0.486 0.182 0.337
N: 0.514 0.818 0.663
N: 0.536 0.243 0.008
N: 0.757 0.464 0.492
N: 0.818 0.514 0.163
N: 0.830 0.132 0.418
N: 0.868 0.170 0.082